Entry 1:
Material: BaNaN
Method: DFT, PBE
State: optimized geometry

Lattice parameters (Å, degrees): 4.0544 4.0544 11.2820 90.00 90.00 120.00
Fractional coordinates of all 6 atoms:
N: 0.6667 0.3333 0.1174
N: 0.3333 0.6667 0.6174
Na: 0.3333 0.6667 0.2162
Na: 0.6667 0.3333 0.7162
Ba: 0.0000 0.0000 0.0110
Ba: 0.0000 0.0000 0.5110

Values from the calculation:
Final energy   -3.90 eV/atom
Space group   P6_3mc, No. 186

Entry 2:
Material: Ba6Na16N
Method: DFT, PBE
State: optimized geometry

Lattice parameters (Å, degrees): 10.7462 10.7462 10.7462 109.47 109.47 109.47
Fractional coordinates of all 23 atoms:
Na: 0.0000 0.6524 0.3476
Na: 0.3476 0.6952 0.3476
Na: 0.5000 0.5000 0.5000
Na: 0.0000 0.3476 0.6524
Na: 0.5000 0.0000 0.0000
Na: 0.3476 0.3476 0.6952
Na: 0.0000 0.5000 0.0000
Na: 0.3476 0.6524 0.0000
Na: 0.6952 0.3476 0.3476
Na: 0.3476 0.0000 0.6524
Na: 0.0000 0.0000 0.5000
Na: 0.3048 0.6524 0.6524
Na: 0.6524 0.0000 0.3476
Na: 0.6524 0.3476 0.0000
Na: 0.6524 0.3048 0.6524
Na: 0.6524 0.6524 0.3048
Ba: 0.0000 0.7709 0.7709
Ba: 0.2291 0.2291 0.0000
Ba: 0.0000 0.2291 0.2291
Ba: 0.2291 0.0000 0.2291
Ba: 0.7709 0.0000 0.7709
Ba: 0.7709 0.7709 0.0000
N: 0.0000 0.0000 0.0000

Values from the calculation:
Final energy   -1.84 eV/atom
Space group   Im-3m, No. 229

Entry 3:
Material: BaNbNO2
Method: DFT, PBE
State: optimized geometry

Lattice parameters (Å, degrees): 4.1690 4.1690 4.1512 90.00 90.00 90.00
Fractional coordinates of all 5 atoms:
Ba: 0.0000 0.0000 0.0000
O: 0.0000 0.5000 0.5000
O: 0.5000 0.0000 0.5000
Nb: 0.5000 0.5000 0.5000
N: 0.5000 0.5000 0.0000

Values from the calculation:
Final energy   -8.15 eV/atom
Space group   P4/mmm, No. 123

Entry 4:
Material: Ba2Nd7Si11N23
Method: DFT, PBE
State: optimized geometry

Lattice parameters (Å, degrees): 12.8515 12.8515 9.7671 90.00 90.00 129.21
Fractional coordinates of all 86 atoms:
N: 0.2214 0.5292 0.7537
N: 0.9852 0.3071 0.1459
N: 0.0000 0.5000 0.0000
N: 0.4708 0.7786 0.7537
N: 0.5000 0.0000 0.0000
N: 0.0148 0.6929 0.8541
N: 0.4708 0.7786 0.2463
N: 0.3071 0.9852 0.1459
N: 0.5848 0.7656 0.0000
N: 0.2910 0.9591 0.5000
N: 0.2392 0.7608 0.0000
N: 0.7470 0.2530 0.3509
N: 0.6376 0.3624 0.5000
N: 0.0409 0.7090 0.5000
N: 0.2214 0.5292 0.2463
N: 0.5292 0.2214 0.7537
N: 0.8362 0.7162 0.2658
N: 0.2530 0.7470 0.3509
N: 0.1638 0.2838 0.2658
N: 0.8362 0.7162 0.7342
N: 0.7786 0.4708 0.7537
N: 0.3071 0.9852 0.8541
N: 0.7656 0.5848 0.0000
N: 0.3624 0.6376 0.5000
N: 0.0148 0.6929 0.1459
N: 0.7470 0.2530 0.6491
N: 0.2344 0.4152 0.0000
N: 0.6929 0.0148 0.8541
N: 0.7090 0.0409 0.5000
N: 0.7162 0.8362 0.7342
N: 0.7786 0.4708 0.2463
N: 0.9591 0.2910 0.5000
N: 0.5292 0.2214 0.2463
N: 0.4152 0.2344 0.0000
N: 0.0000 0.0000 0.2749
N: 0.2530 0.7470 0.6491
N: 0.0000 0.0000 0.7251
N: 0.6929 0.0148 0.1459
N: 0.7608 0.2392 0.0000
N: 0.9852 0.3071 0.8541
N: 0.2838 0.1638 0.7342
N: 0.1638 0.2838 0.7342
N: 0.8177 0.8177 0.5000
N: 0.7162 0.8362 0.2658
N: 0.1823 0.1823 0.5000
N: 0.2838 0.1638 0.2658
Nd: 0.1210 0.8790 0.2949
Nd: 0.6638 0.3362 0.0000
Nd: 0.3362 0.6638 0.0000
Nd: 0.5000 0.0000 0.7342
Nd: 0.1804 0.3859 0.5000
Nd: 0.5000 0.0000 0.2658
Nd: 0.6141 0.8196 0.5000
Nd: 0.1210 0.8790 0.7051
Nd: 0.8790 0.1210 0.2949
Nd: 0.8790 0.1210 0.7051
Nd: 0.3859 0.1804 0.5000
Nd: 0.8196 0.6141 0.5000
Nd: 0.0000 0.5000 0.2658
Nd: 0.0000 0.5000 0.7342
Ba: 0.5000 0.5000 0.7912
Ba: 0.5000 0.5000 0.2088
Ba: 0.1660 0.1660 0.0000
Ba: 0.8340 0.8340 0.0000
Si: 0.2148 0.7852 0.5000
Si: 0.6734 0.3266 0.3389
Si: 0.1520 0.1520 0.3285
Si: 0.8469 0.6161 0.1612
Si: 0.3839 0.1531 0.1612
Si: 0.8480 0.8480 0.3285
Si: 0.3331 0.9297 0.0000
Si: 0.3266 0.6734 0.3389
Si: 0.3839 0.1531 0.8388
Si: 0.1531 0.3839 0.8388
Si: 0.7852 0.2148 0.5000
Si: 0.1520 0.1520 0.6715
Si: 0.8480 0.8480 0.6715
Si: 0.3266 0.6734 0.6611
Si: 0.1531 0.3839 0.1612
Si: 0.6161 0.8469 0.8388
Si: 0.6669 0.0703 0.0000
Si: 0.0703 0.6669 0.0000
Si: 0.8469 0.6161 0.8388
Si: 0.9297 0.3331 0.0000
Si: 0.6734 0.3266 0.6611
Si: 0.6161 0.8469 0.1612

Values from the calculation:
Final energy   -7.96 eV/atom
Space group   Cmmm, No. 65

Entry 5:
Material: BaNiN
Method: DFT, PBE
State: optimized geometry

Lattice parameters (Å, degrees): 5.4506 9.7513 13.7571 90.00 90.00 90.00
Fractional coordinates of all 36 atoms:
Ba: 0.0279 0.6735 0.5877
Ba: 0.9773 0.9947 0.2500
Ba: 0.5279 0.8265 0.4123
Ba: 0.9721 0.3265 0.0877
Ba: 0.4773 0.5053 0.7500
Ba: 0.0279 0.6735 0.9123
Ba: 0.9721 0.3265 0.4123
Ba: 0.4721 0.1735 0.5877
Ba: 0.5227 0.4947 0.2500
Ba: 0.0227 0.0053 0.7500
Ba: 0.5279 0.8265 0.0877
Ba: 0.4721 0.1735 0.9123
Ni: 0.4382 0.1435 0.1618
Ni: 0.0000 0.0000 0.0000
Ni: 0.4382 0.1435 0.3382
Ni: 0.9382 0.3565 0.6618
Ni: 0.5000 0.5000 0.5000
Ni: 0.9382 0.3565 0.8382
Ni: 0.0000 0.0000 0.5000
Ni: 0.0618 0.6435 0.3382
Ni: 0.5618 0.8565 0.8382
Ni: 0.0618 0.6435 0.1618
Ni: 0.5000 0.5000 0.0000
Ni: 0.5618 0.8565 0.6618
N: 0.6514 0.2198 0.2500
N: 0.2750 0.5716 0.4236
N: 0.1514 0.2802 0.7500
N: 0.7750 0.9284 0.5764
N: 0.2250 0.0716 0.4236
N: 0.3486 0.7802 0.7500
N: 0.7250 0.4284 0.5764
N: 0.2750 0.5716 0.0764
N: 0.2250 0.0716 0.0764
N: 0.8486 0.7198 0.2500
N: 0.7750 0.9284 0.9236
N: 0.7250 0.4284 0.9236

Values from the calculation:
Final energy   -5.81 eV/atom
Space group   Pnma, No. 62

Entry 6:
Material: BaNi2N2
Method: DFT, PBE
State: optimized geometry

Lattice parameters (Å, degrees): 6.1856 6.1952 8.7342 90.00 45.09 59.95
Fractional coordinates of all 10 atoms:
Ba: 0.0000 0.0000 0.7500
Ba: 0.0000 0.0000 0.2500
N: 0.3353 0.1647 0.3323
N: 0.6647 0.8353 0.6677
N: 0.6647 0.5000 0.1677
N: 0.3353 0.5000 0.8323
Ni: 0.2618 0.2382 0.8691
Ni: 0.2618 0.5000 0.3691
Ni: 0.7382 0.7618 0.1309
Ni: 0.7382 0.5000 0.6309

Values from the calculation:
Final energy   -6.24 eV/atom
Space group   I4/mcm, No. 140

Entry 7:
Material: Ba3Ni3N5
Method: DFT, PBE
State: optimized geometry

Lattice parameters (Å, degrees): 6.2828 7.4061 9.4060 111.98 106.80 95.56
Fractional coordinates of all 22 atoms:
Ba: 0.3390 0.1428 0.1134
Ba: 0.6723 0.6792 0.2155
Ba: 0.6610 0.8572 0.8866
Ba: 0.7884 0.3758 0.5881
Ba: 0.3277 0.3208 0.7845
Ba: 0.2116 0.6242 0.4119
N: 0.2129 0.7366 0.8803
N: 0.9713 0.0905 0.8257
N: 0.5179 0.9485 0.4326
N: 0.0287 0.9095 0.1743
N: 0.1420 0.2963 0.4683
N: 0.7769 0.5059 0.9055
N: 0.2231 0.4941 0.0945
N: 0.8580 0.7037 0.5317
N: 0.7871 0.2634 0.1197
N: 0.4821 0.0515 0.5674
Ni: 0.0782 0.6726 0.0174
Ni: 0.2320 0.0594 0.3909
Ni: 0.0532 0.8398 0.7487
Ni: 0.7680 0.9406 0.6091
Ni: 0.9218 0.3274 0.9826
Ni: 0.9468 0.1602 0.2513

Values from the calculation:
Final energy   -6.03 eV/atom
Space group   P-1, No. 2

Number 1: mass density 3.6 g/cm³. Number 2: mass density 2.1 g/cm³. Number 3: mass density 6.4 g/cm³. Number 4: mass density 5.1 g/cm³. Number 5: mass density 5.7 g/cm³. Number 6: mass density 5.6 g/cm³. Number 7: mass density 5.8 g/cm³.